(1)
Crystalline PrNdAl6 at its relaxed geometry, computed with r2SCAN.

**E_tot**: -103.1 eV per cell
**Size of the total moment**: 0.0 μB/cell
**Crystal system**: hexagonal
**Calculated formation energy**: -0.49 eV/atom

Unit cell a=6.5438 b=6.5438 c=4.5990 alpha=90.00 beta=90.00 gamma=120.00
Space group P-6m2 (No. 187)
Symmetry-distinct sites (fractional):
Pr 0.0000 0.0000 0.0000
Nd 0.3333 0.6667 0.5000
Al 0.3899 0.1950 0.5000
Al 0.5277 0.0554 0.0000

***

(2)
Crystalline NdAl2Pt3 at its relaxed geometry, computed with r2SCAN.

**E_tot**: -204.5 eV per cell
**Size of the total moment**: 0.0 μB/cell
**Crystal system**: hexagonal
**Calculated formation energy**: -1.19 eV/atom

Unit cell a=5.5818 b=5.5818 c=3.9563 alpha=90.00 beta=90.00 gamma=120.00
Space group P6/mmm (No. 191)
Symmetry-distinct sites (fractional):
Nd 0.0000 0.0000 0.0000
Al 0.3333 0.6667 0.0000
Pt 0.0000 0.5000 0.5000

***

(3)
Crystalline Nd2Al9Rh3 at its relaxed geometry, computed with r2SCAN.

**E_tot**: -816.3 eV per cell
**Size of the total moment**: 0.0 μB/cell
**Crystal system**: orthorhombic
**Calculated formation energy**: -0.88 eV/atom

Unit cell a=13.052 b=7.654 c=9.567 alpha=90.00 beta=90.00 gamma=90.00
Space group Cmcm (No. 63)
Symmetry-distinct sites (fractional):
Nd 0.162 0.167 0.250
Al 0.000 0.132 0.750
Al 0.000 0.335 0.043
Al 0.103 0.443 0.750
Al 0.166 0.170 0.573
Rh 0.000 0.000 0.000
Rh 0.171 0.500 0.000

***

(4)
Crystalline NdAlRh at its relaxed geometry, computed with r2SCAN.

**E_tot**: -251.6 eV per cell
**Size of the total moment**: 0.0 μB/cell
**Crystal system**: orthorhombic
**Calculated formation energy**: -0.87 eV/atom

Unit cell a=7.018 b=4.263 c=8.123 alpha=90.00 beta=90.00 gamma=90.00
Space group Pnma (No. 62)
Symmetry-distinct sites (fractional):
Nd 0.037 0.250 0.181
Al 0.133 0.250 0.559
Rh 0.228 0.750 0.384

***

(5)
Crystalline Nd9Al5Se21 at its relaxed geometry, computed with r2SCAN.

**E_tot**: -3971.0 eV per cell
**Size of the total moment**: 0.0 μB/cell
**Crystal system**: trigonal
**Calculated formation energy**: -1.80 eV/atom

Unit cell a=17.9294 b=17.9294 c=19.3711 alpha=90.00 beta=90.00 gamma=120.00
Space group R3 (No. 146, hexagonal axes)
Symmetry-distinct sites (fractional):
Nd 0.0224 0.2020 0.0000
Nd 0.0230 0.1991 0.6561
Nd 0.0245 0.1980 0.3209
Nd 0.1541 0.6904 0.1651
Nd 0.1564 0.6837 0.4858
Nd 0.1602 0.6951 0.8257
Al 0.0000 0.0000 0.1039
Al 0.0000 0.0000 0.4177
Al 0.0000 0.0000 0.6019
Al 0.0000 0.0000 0.9190
Al 0.0025 0.6642 0.6317
Al 0.0067 0.3362 0.4651
Se 0.0001 0.3343 0.2534
Se 0.0005 0.6691 0.0868
Se 0.0078 0.5503 0.2477
Se 0.0087 0.1241 0.8588
Se 0.0128 0.1196 0.5171
Se 0.0168 0.1311 0.1716
Se 0.0174 0.5506 0.5846
Se 0.0236 0.5609 0.9168
Se 0.1194 0.1074 0.0192
Se 0.1257 0.1133 0.3576
Se 0.1263 0.3411 0.7515
Se 0.1279 0.3570 0.0841
Se 0.1295 0.1152 0.6701
Se 0.1333 0.3514 0.4136

***

(6)
Crystalline NdAl2Si2 at its relaxed geometry, computed with r2SCAN.

**E_tot**: -62.6 eV per cell
**Size of the total moment**: 0.0 μB/cell
**Crystal system**: trigonal
**Calculated formation energy**: -0.44 eV/atom

Unit cell a=4.2010 b=4.2010 c=6.8704 alpha=90.00 beta=90.00 gamma=120.00
Space group P-3m1 (No. 164)
Symmetry-distinct sites (fractional):
Nd 0.0000 0.0000 0.0000
Al 0.3333 0.6667 0.6382
Si 0.3333 0.6667 0.2702

***

(7)
Crystalline Nd6Ti4Al43 at its relaxed geometry, computed with r2SCAN.

**E_tot**: -1073.2 eV per cell
**Size of the total moment**: 0.0 μB/cell
**Crystal system**: hexagonal
**Calculated formation energy**: -0.36 eV/atom

Unit cell a=11.0793 b=11.0793 c=18.0016 alpha=90.00 beta=90.00 gamma=120.00
Space group P6_3/mcm (No. 193)
Symmetry-distinct sites (fractional):
Nd 0.0000 0.4705 0.0961
Ti 0.0000 0.0000 0.0000
Ti 0.0000 0.2716 0.2500
Al 0.0000 0.1457 0.7500
Al 0.0000 0.1546 0.1171
Al 0.0000 0.2492 0.5297
Al 0.1538 0.5545 0.2500
Al 0.1583 0.3918 0.6654
Al 0.2474 0.4949 0.0000
Al 0.3333 0.6667 0.1261

***

(8)
Crystalline AlNi at its relaxed geometry, computed with r2SCAN.

**E_tot**: -20.1 eV per cell
**Size of the total moment**: 0.0 μB/cell
**Crystal system**: cubic
**Calculated formation energy**: -0.68 eV/atom

Unit cell a=2.860 b=2.860 c=2.860 alpha=90.00 beta=90.00 gamma=90.00
Space group Pm-3m (No. 221)
Symmetry-distinct sites (fractional):
Al 0.000 0.000 0.000
Ni 0.500 0.500 0.500